[1]
A plane-wave DFT calculation with PBE was carried out for a relaxed structure of TbAl3Cu2.

Results
* energy of formation from the pure elements: -0.43 eV/atom
* space group: P6/mmm
* total energy: -4.445 eV/atom

Unit cell a=5.3687 b=5.3687 c=4.0331 alpha=90.00 beta=90.00 gamma=120.00
Positions (direct):
Tb 0.0000 0.0000 0.0000
Al 0.0000 0.5000 0.5000
Al 0.5000 0.0000 0.5000
Al 0.5000 0.5000 0.5000
Cu 0.3333 0.6667 0.0000
Cu 0.6667 0.3333 0.0000

=====

[2]
A plane-wave DFT calculation with PBE was carried out for a relaxed structure of Cs2Re3Se4I3.

Results
* energy of formation from the pure elements: -0.89 eV/atom
* space group: P2_1/c
* total energy: -5.604 eV/atom

Unit cell a=10.3762 b=29.8991 c=11.9961 alpha=90.00 beta=106.33 gamma=90.00
Positions (direct):
Cs 0.1622 0.1370 0.2892
Cs 0.1622 0.3630 0.7892
Cs 0.2546 0.5428 0.0672
Cs 0.2546 0.9572 0.5672
Cs 0.2723 0.5438 0.5665
Cs 0.2723 0.9562 0.0665
Cs 0.3343 0.7299 0.8333
Cs 0.3343 0.7701 0.3333
Cs 0.6657 0.2299 0.6667
Cs 0.6657 0.2701 0.1667
Cs 0.7277 0.0438 0.9335
Cs 0.7277 0.4562 0.4335
Cs 0.7454 0.0428 0.4328
Cs 0.7454 0.4572 0.9328
Cs 0.8378 0.6370 0.2108
Cs 0.8378 0.8630 0.7108
Re 0.0661 0.1513 0.6550
Re 0.0661 0.3487 0.1550
Re 0.0693 0.1525 0.8771
Re 0.0693 0.3475 0.3771
Re 0.1014 0.0758 0.7764
Re 0.1014 0.4242 0.2764
Re 0.2732 0.1875 0.8129
Re 0.2732 0.3125 0.3129
Re 0.3036 0.1110 0.7118
Re 0.3036 0.3890 0.2118
Re 0.3066 0.1123 0.9342
Re 0.3066 0.3877 0.4342
Re 0.6934 0.6123 0.5658
Re 0.6934 0.8877 0.0658
Re 0.6964 0.6110 0.7882
Re 0.6964 0.8890 0.2882
Re 0.7268 0.6875 0.6871
Re 0.7268 0.8125 0.1871
Re 0.8986 0.5758 0.7236
Re 0.8986 0.9242 0.2236
Re 0.9307 0.6525 0.6229
Re 0.9307 0.8475 0.1229
Re 0.9339 0.6513 0.8450
Re 0.9339 0.8487 0.3450
Se 0.0428 0.2243 0.7580
Se 0.0428 0.2757 0.2580
Se 0.1022 0.0768 0.5638
Se 0.1022 0.4232 0.0638
Se 0.1076 0.0787 0.9900
Se 0.1076 0.4213 0.4900
Se 0.1242 0.6166 0.7776
Se 0.1242 0.8834 0.2776
Se 0.2654 0.1846 0.5991
Se 0.2654 0.3154 0.0991
Se 0.2709 0.1869 0.0240
Se 0.2709 0.3131 0.5240
Se 0.3332 0.0391 0.8324
Se 0.3332 0.4609 0.3324
Se 0.4971 0.1463 0.8664
Se 0.4971 0.3537 0.3664
Se 0.5029 0.6463 0.6336
Se 0.5029 0.8537 0.1336
Se 0.6668 0.5391 0.6676
Se 0.6668 0.9609 0.1676
Se 0.7291 0.6869 0.4760
Se 0.7291 0.8131 0.9760
Se 0.7346 0.6846 0.9009
Se 0.7346 0.8154 0.4009
Se 0.8758 0.1166 0.7224
Se 0.8758 0.3834 0.2224
Se 0.8924 0.5787 0.5100
Se 0.8924 0.9213 0.0100
Se 0.8978 0.5768 0.9362
Se 0.8978 0.9232 0.4362
Se 0.9572 0.7243 0.7420
Se 0.9572 0.7757 0.2420
I 0.0270 0.0093 0.2520
I 0.0270 0.4907 0.7520
I 0.1119 0.6789 0.4968
I 0.1119 0.8211 0.9968
I 0.1240 0.6753 0.0582
I 0.1240 0.8247 0.5582
I 0.4227 0.2311 0.3467
I 0.4227 0.2689 0.8467
I 0.4735 0.0777 0.5817
I 0.4735 0.4223 0.0817
I 0.4827 0.0843 0.1490
I 0.4827 0.4157 0.6490
I 0.5173 0.5843 0.3510
I 0.5173 0.9157 0.8510
I 0.5265 0.5777 0.9183
I 0.5265 0.9223 0.4183
I 0.5773 0.7311 0.1533
I 0.5773 0.7689 0.6533
I 0.8760 0.1753 0.4418
I 0.8760 0.3247 0.9418
I 0.8881 0.1789 0.0032
I 0.8881 0.3211 0.5032
I 0.9730 0.5093 0.2480
I 0.9730 0.9907 0.7480

=====

[3]
A plane-wave DFT calculation with PBE was carried out for a relaxed structure of Zn6P4H14O23.

Results
* energy of formation from the pure elements: -1.87 eV/atom
* space group: P-1
* total energy: -5.585 eV/atom

Unit cell a=8.3864 b=9.7014 c=12.3759 alpha=71.55 beta=82.36 gamma=80.79
Positions (direct):
Zn 0.0239 0.1420 0.3946
Zn 0.0744 0.6052 0.8809
Zn 0.1556 0.3423 0.7465
Zn 0.3142 0.4025 0.4948
Zn 0.4232 0.1210 0.3887
Zn 0.4700 0.5979 0.8758
Zn 0.5300 0.4021 0.1242
Zn 0.5768 0.8790 0.6113
Zn 0.6858 0.5975 0.5052
Zn 0.8444 0.6577 0.2535
Zn 0.9256 0.3948 0.1191
Zn 0.9761 0.8580 0.6054
P 0.1789 0.4405 0.2824
P 0.2119 0.0817 0.6276
P 0.2909 0.2999 0.9794
P 0.3241 0.6393 0.6344
P 0.6759 0.3607 0.3656
P 0.7091 0.7001 0.0206
P 0.7881 0.9183 0.3724
P 0.8211 0.5595 0.7176
H 0.0083 0.8797 0.1074
H 0.0674 0.8912 0.7870
H 0.1157 0.8059 0.2107
H 0.1221 0.1561 0.1661
H 0.2277 0.7747 0.9825
H 0.2430 0.0131 0.9028
H 0.2454 0.6048 0.0545
H 0.2582 0.8886 0.4480
H 0.2634 0.0048 0.0285
H 0.3188 0.9071 0.3190
H 0.3296 0.6844 0.2897
H 0.3857 0.8914 0.7853
H 0.4285 0.1504 0.1631
H 0.4705 0.7642 0.2065
H 0.5295 0.2358 0.7935
H 0.5715 0.8496 0.8369
H 0.6143 0.1086 0.2147
H 0.6704 0.3156 0.7103
H 0.6812 0.0929 0.6810
H 0.7366 0.9952 0.9715
H 0.7418 0.1114 0.5520
H 0.7546 0.3952 0.9455
H 0.7570 0.9869 0.0972
H 0.7723 0.2253 0.0175
H 0.8779 0.8439 0.8339
H 0.8843 0.1941 0.7893
H 0.9326 0.1088 0.2130
H 0.9917 0.1203 0.8926
O 0.0035 0.4802 0.2425
O 0.0142 0.1789 0.2093
O 0.0286 0.7913 0.1719
O 0.0687 0.0577 0.5703
O 0.1242 0.3967 0.9887
O 0.1943 0.7543 0.5690
O 0.1981 0.5293 0.3641
O 0.1996 0.2487 0.6172
O 0.2025 0.2724 0.3502
O 0.2086 0.9878 0.7544
O 0.2165 0.9567 0.9826
O 0.2332 0.6742 0.9752
O 0.2804 0.9655 0.3738
O 0.2946 0.1581 0.0836
O 0.2991 0.6211 0.7648
O 0.3021 0.4761 0.1771
O 0.3104 0.2605 0.8652
O 0.3221 0.4852 0.6197
O 0.3635 0.7816 0.2480
O 0.3752 0.0399 0.5637
O 0.4320 0.3860 0.9798
O 0.4944 0.6899 0.5852
O 0.4950 0.8291 0.7866
O 0.5050 0.1709 0.2134
O 0.5056 0.3101 0.4148
O 0.5680 0.6140 0.0202
O 0.6248 0.9601 0.4363
O 0.6365 0.2184 0.7520
O 0.6779 0.5148 0.3803
O 0.6896 0.7395 0.1348
O 0.6979 0.5239 0.8229
O 0.7009 0.3789 0.2352
O 0.7054 0.8419 0.9164
O 0.7196 0.0345 0.6262
O 0.7668 0.3258 0.0248
O 0.7835 0.0433 0.0174
O 0.7914 0.0122 0.2456
O 0.7975 0.7276 0.6498
O 0.8004 0.7513 0.3828
O 0.8019 0.4707 0.6359
O 0.8057 0.2457 0.4310
O 0.8758 0.6033 0.0113
O 0.9313 0.9423 0.4297
O 0.9714 0.2087 0.8281
O 0.9858 0.8211 0.7907
O 0.9965 0.5198 0.7575

=====

[4]
A plane-wave DFT calculation with PBE was carried out for a relaxed structure of FeCuS2.

Results
* energy of formation from the pure elements: -0.47 eV/atom
* space group: P3m1
* total energy: -5.425 eV/atom

Unit cell a=3.8057 b=3.8057 c=6.2531 alpha=90.00 beta=90.00 gamma=120.00
Positions (direct):
Fe 0.0000 0.0000 0.0000
Cu 0.3333 0.6667 0.7244
S 0.0000 0.0000 0.6366
S 0.3333 0.6667 0.1109

=====

[5]
A plane-wave DFT calculation with PBE was carried out for a relaxed structure of Ba2NdMgSbO6.

Results
* energy of formation from the pure elements: -2.54 eV/atom
* energy relative to the lowest polymorph listed for this composition: 273 meV/atom
* space group: P-1
* total energy: -6.163 eV/atom

Unit cell a=6.2678 b=6.4706 c=6.4957 alpha=113.72 beta=118.74 gamma=93.49
Positions (direct):
Ba 0.1979 0.1248 0.3933
Ba 0.8021 0.8752 0.6067
Nd 0.5000 0.0000 0.0000
Mg 0.5000 0.5000 0.0000
Sb 0.0000 0.5000 0.0000
O 0.1606 0.7847 0.5120
O 0.2772 0.2787 0.0501
O 0.3519 0.7517 0.1167
O 0.6481 0.2483 0.8833
O 0.7228 0.7213 0.9499
O 0.8394 0.2153 0.4880

=====

[6]
A plane-wave DFT calculation with PBE was carried out for a relaxed structure of MgAl4H12O12.

Results
* energy of formation from the pure elements: -1.89 eV/atom
* energy relative to the lowest polymorph listed for this composition: 103 meV/atom
* space group: P1
* total energy: -5.631 eV/atom

Unit cell a=5.2309 b=6.8999 c=7.5292 alpha=76.97 beta=75.48 gamma=75.95
Positions (direct):
Mg 0.0000 0.0000 0.0000
Al 0.4746 0.0227 0.4965
Al 0.4865 0.6793 0.8253
Al 0.9529 0.5231 0.9981
Al 0.9720 0.1929 0.3411
H 0.1237 0.8382 0.4901
H 0.1597 0.3740 0.5127
H 0.2227 0.6499 0.1782
H 0.3182 0.4364 0.7233
H 0.3458 0.1956 0.0303
H 0.4182 0.0470 0.8128
H 0.5997 0.4715 0.2889
H 0.6322 0.1152 0.1599
H 0.6663 0.9155 0.9514
H 0.6859 0.2947 0.9046
H 0.7048 0.6595 0.4840
H 0.7362 0.1418 0.6881
O 0.1400 0.2340 0.0750
O 0.1757 0.6884 0.0563
O 0.2139 0.9412 0.4031
O 0.2270 0.5597 0.7734
O 0.2351 0.2833 0.4226
O 0.3068 0.9774 0.7644
O 0.6517 0.7527 0.5729
O 0.7023 0.7619 0.9444
O 0.7071 0.1622 0.5580
O 0.7217 0.4391 0.8888
O 0.7314 0.0538 0.2667
O 0.7938 0.4634 0.2594

=====

[7]
A plane-wave DFT calculation with PBE was carried out for a relaxed structure of DyV2Fe10N.

Results
* energy of formation from the pure elements: -0.19 eV/atom
* space group: Immm
* total energy: -8.433 eV/atom

Unit cell a=6.4931 b=6.4931 c=6.4931 alpha=137.18 beta=98.04 gamma=97.28
Positions (direct):
Dy 0.0000 0.0000 0.0000
V 0.3587 0.3587 0.0000
V 0.6413 0.6413 0.0000
Fe 0.0000 0.0000 0.5000
Fe 0.0000 0.5000 0.0000
Fe 0.2231 0.7231 0.5000
Fe 0.2247 0.5000 0.7247
Fe 0.3603 0.0000 0.3603
Fe 0.5000 0.0000 0.0000
Fe 0.5000 0.5000 0.5000
Fe 0.6397 0.0000 0.6397
Fe 0.7753 0.5000 0.2753
Fe 0.7769 0.2769 0.5000
N 0.0000 0.5000 0.5000

=====

[8]
A plane-wave DFT calculation with PBE was carried out for a relaxed structure of Ir2Se9Br6.

Results
* energy of formation from the pure elements: -0.43 eV/atom
* space group: I4_1/a
* total energy: -3.710 eV/atom

Unit cell a=15.5843 b=15.5843 c=15.5843 alpha=131.64 beta=131.64 gamma=70.80
Positions (direct):
Ir 0.0353 0.7540 0.0054
Ir 0.2486 0.0298 0.4946
Ir 0.2540 0.7486 0.7187
Ir 0.4702 0.4647 0.2187
Ir 0.5298 0.5353 0.7813
Ir 0.7460 0.2514 0.2813
Ir 0.7514 0.9702 0.5054
Ir 0.9647 0.2460 0.9946
Se 0.0173 0.7673 0.2500
Se 0.0410 0.0959 0.2232
Se 0.0490 0.0439 0.3418
Se 0.0603 0.1697 0.8898
Se 0.1282 0.9371 0.1232
Se 0.2021 0.7072 0.1582
Se 0.2072 0.5490 0.5051
Se 0.2201 0.8294 0.3898
Se 0.2673 0.5173 0.7500
Se 0.3139 0.0050 0.3768
Se 0.3178 0.5410 0.4451
Se 0.3294 0.4397 0.6094
Se 0.3303 0.7201 0.8906
Se 0.3727 0.8178 0.2768
Se 0.4041 0.1273 0.9451
Se 0.4371 0.8139 0.8089
Se 0.4561 0.2979 0.0051
Se 0.4950 0.3718 0.3089
Se 0.5050 0.6282 0.6911
Se 0.5439 0.7021 0.9949
Se 0.5629 0.1861 0.1911
Se 0.5959 0.8727 0.0549
Se 0.6273 0.1822 0.7232
Se 0.6697 0.2799 0.1094
Se 0.6706 0.5603 0.3906
Se 0.6822 0.4590 0.5549
Se 0.6861 0.9950 0.6232
Se 0.7327 0.4827 0.2500
Se 0.7799 0.1706 0.6102
Se 0.7928 0.4510 0.4949
Se 0.7979 0.2928 0.8418
Se 0.8718 0.0629 0.8768
Se 0.9397 0.8303 0.1102
Se 0.9510 0.9561 0.6582
Se 0.9590 0.9041 0.7768
Se 0.9827 0.2327 0.7500
Br 0.0471 0.6925 0.6066
Br 0.0595 0.4529 0.1454
Br 0.1034 0.6612 0.8553
Br 0.1499 0.2221 0.1839
Br 0.1612 0.8059 0.5577
Br 0.1925 0.0859 0.6454
Br 0.2518 0.3966 0.0577
Br 0.2779 0.9618 0.9279
Br 0.3059 0.2482 0.6447
Br 0.4141 0.5595 0.1066
Br 0.4618 0.0340 0.6839
Br 0.4660 0.6499 0.4279
Br 0.5340 0.3501 0.5721
Br 0.5382 0.9660 0.3161
Br 0.5859 0.4405 0.8934
Br 0.6941 0.7518 0.3553
Br 0.7221 0.0382 0.0721
Br 0.7482 0.6034 0.9423
Br 0.8075 0.9141 0.3546
Br 0.8388 0.1941 0.4423
Br 0.8501 0.7779 0.8161
Br 0.8966 0.3388 0.1447
Br 0.9405 0.5471 0.8546
Br 0.9529 0.3075 0.3934

=====

[9]
A plane-wave DFT calculation with PBE was carried out for a relaxed structure of Cs2UHO2F4.

Results
* energy of formation from the pure elements: -2.89 eV/atom
* space group: P2_1/c
* total energy: -5.973 eV/atom

Unit cell a=8.0557 b=12.3556 c=9.3902 alpha=90.00 beta=107.99 gamma=90.00
Positions (direct):
Cs 0.1303 0.2461 0.0655
Cs 0.1303 0.2539 0.5655
Cs 0.2713 0.5680 0.8231
Cs 0.2713 0.9320 0.3231
Cs 0.7287 0.0680 0.6769
Cs 0.7287 0.4320 0.1769
Cs 0.8697 0.7461 0.4345
Cs 0.8697 0.7539 0.9345
U 0.2801 0.5496 0.3384
U 0.2801 0.9504 0.8384
U 0.7199 0.0496 0.1616
U 0.7199 0.4504 0.6616
H 0.4307 0.1911 0.3923
H 0.4307 0.3089 0.8923
H 0.5693 0.6911 0.1077
H 0.5693 0.8089 0.6077
O 0.2185 0.6087 0.4948
O 0.2185 0.8913 0.9948
O 0.3442 0.0105 0.6819
O 0.3442 0.4895 0.1819
O 0.6558 0.5105 0.8181
O 0.6558 0.9895 0.3181
O 0.7815 0.1087 0.0052
O 0.7815 0.3913 0.5052
F 0.0165 0.6092 0.1953
F 0.0165 0.8908 0.6953
F 0.1047 0.0973 0.8116
F 0.1047 0.4027 0.3116
F 0.3465 0.7102 0.2731
F 0.3465 0.7898 0.7731
F 0.4201 0.0822 0.0273
F 0.4201 0.4178 0.5273
F 0.5799 0.5822 0.4727
F 0.5799 0.9178 0.9727
F 0.6535 0.2102 0.2269
F 0.6535 0.2898 0.7269
F 0.8953 0.5973 0.6884
F 0.8953 0.9027 0.1884
F 0.9835 0.1092 0.3047
F 0.9835 0.3908 0.8047

=====

[10]
A plane-wave DFT calculation with PBE was carried out for a relaxed structure of Rb2LiYF6.

Results
* energy of formation from the pure elements: -3.59 eV/atom
* space group: Fm-3m
* total energy: -5.493 eV/atom

Unit cell a=6.1612 b=6.1612 c=6.1612 alpha=60.00 beta=60.00 gamma=60.00
Positions (direct):
Rb 0.2500 0.2500 0.2500
Rb 0.7500 0.7500 0.7500
Li 0.0000 0.0000 0.0000
Y 0.5000 0.5000 0.5000
F 0.2482 0.2482 0.7518
F 0.2482 0.7518 0.2482
F 0.2482 0.7518 0.7518
F 0.7518 0.2482 0.2482
F 0.7518 0.2482 0.7518
F 0.7518 0.7518 0.2482

=====

Question: energy of formation from the pure elements of number 5 (Ba2NdMgSbO6)?
Answer: -2.54 eV/atom

=====

Repeat the fourth record exactly.
A plane-wave DFT calculation with PBE was carried out for a relaxed structure of FeCuS2.

Results
* energy of formation from the pure elements: -0.47 eV/atom
* space group: P3m1
* total energy: -5.425 eV/atom

Unit cell a=3.8057 b=3.8057 c=6.2531 alpha=90.00 beta=90.00 gamma=120.00
Positions (direct):
Fe 0.0000 0.0000 0.0000
Cu 0.3333 0.6667 0.7244
S 0.0000 0.0000 0.6366
S 0.3333 0.6667 0.1109